VASP calculation (GGA+U) on a relaxed LiMnPO4 crystal.

```
LiMnPO4
1.0
5.766 1.026 1.356
-2.837 5.701 2.020
-3.182 -1.450 8.978
P O Mn Li
4 16 4 4
Direct
0.163 0.293 0.387
0.837 0.707 0.613
0.711 0.817 0.988
0.289 0.183 0.012
0.174 0.289 0.550
0.533 0.263 0.069
0.690 0.865 0.632
0.873 0.670 0.970
0.790 0.047 0.891
0.127 0.330 0.030
0.310 0.135 0.368
0.738 0.476 0.700
0.917 0.217 0.329
0.282 0.185 0.850
0.210 0.954 0.109
0.262 0.524 0.300
0.718 0.815 0.150
0.826 0.711 0.450
0.467 0.737 0.931
0.083 0.783 0.671
0.795 0.354 0.930
0.205 0.645 0.070
0.986 0.066 0.717
0.014 0.934 0.283
0.432 0.338 0.679
0.568 0.662 0.321
0.598 0.195 0.281
0.402 0.805 0.719
```

Crystal system: triclinic
DFT total energy, eV/f.u.: -49.9
E (MP2020), eV per atom: -7.761
Energy of formation, eV per atom: -2.58
Energy relative to the lowest polymorph listed for this composition, meV/atom: 55
Magnetization, μB/cell: 0.00